Record 1
Compound: Na2Gd2Ti3O10
Source: the Materials Project
Functional: GGA-PBE
Structure: optimized geometry

Structure (CIF):
```
data_Na2Gd2Ti3O10
_chemical_formula_sum 'Na4 Gd4 Ti6 O20'
_space_group_name_H-M_alt 'I 4/m m m'
_space_group_IT_number 139
_space_group_name_Hall '-I 4 2'
_cell_length_a 3.832
_cell_length_b 3.832
_cell_length_c 28.615
_cell_angle_alpha 90.00
_cell_angle_beta 90.00
_cell_angle_gamma 90.00
loop_
_atom_site_label
_atom_site_type_symbol
_atom_site_fract_x
_atom_site_fract_y
_atom_site_fract_z
Na1 Na 0.000 0.000 0.212
Gd1 Gd 0.000 0.000 0.076
Ti1 Ti 0.000 0.000 0.354
Ti2 Ti 0.000 0.000 0.500
O1 O 0.000 0.000 0.292
O2 O 0.000 0.000 0.432
O3 O 0.000 0.500 0.000
O4 O 0.000 0.500 0.131
```

final energy	-9.05	eV/atom


Record 2
Compound: NaAcTl2
Source: the Materials Project
Functional: GGA-PBE
Structure: optimized geometry

Structure (CIF):
```
data_NaAcTl2
_chemical_formula_sum 'Na4 Ac4 Tl8'
_space_group_name_H-M_alt 'F m -3 m'
_space_group_IT_number 225
_space_group_name_Hall '-F 4 2 3'
_cell_length_a 8.011
_cell_length_b 8.011
_cell_length_c 8.011
_cell_angle_alpha 90.00
_cell_angle_beta 90.00
_cell_angle_gamma 90.00
loop_
_atom_site_label
_atom_site_type_symbol
_atom_site_fract_x
_atom_site_fract_y
_atom_site_fract_z
Na1 Na 0.000 0.000 0.000
Ac1 Ac 0.000 0.000 0.500
Tl1 Tl 0.250 0.250 0.250
```

final energy	-2.82	eV/atom


Record 3
Compound: SrLiMg14
Source: the Materials Project
Functional: GGA-PBE
Structure: optimized geometry

Structure (CIF):
```
data_SrLiMg14
_chemical_formula_sum 'Sr2 Li2 Mg28'
_space_group_name_H-M_alt 'A m m 2'
_space_group_IT_number 38
_cell_length_a 10.585
_cell_length_b 6.431
_cell_length_c 11.525
_cell_angle_alpha 90.00
_cell_angle_beta 90.00
_cell_angle_gamma 90.00
loop_
_space_group_symop_operation_xyz
'x,y,z'
'-x,-y,z'
'-x,y,z'
'x,-y,z'
'x,y+1/2,z+1/2'
'-x,-y+1/2,z+1/2'
'-x,y+1/2,z+1/2'
'x,-y+1/2,z+1/2'
loop_
_atom_site_label
_atom_site_type_symbol
_atom_site_fract_x
_atom_site_fract_y
_atom_site_fract_z
Sr1 Sr 0.000 0.000 0.000
Li1 Li 0.000 0.000 0.494
Mg1 Mg 0.000 0.244 0.250
Mg2 Mg 0.245 0.000 0.661
Mg3 Mg 0.262 0.000 0.166
Mg4 Mg 0.262 0.245 0.410
Mg5 Mg 0.500 0.000 0.497
Mg6 Mg 0.500 0.000 0.997
Mg7 Mg 0.500 0.248 0.746
```

final energy	-1.59	eV/atom


Record 4
Compound: TlBTe2
Source: the Materials Project
Functional: GGA-PBE
Structure: optimized geometry

Structure (CIF):
```
data_TlBTe2
_chemical_formula_sum 'Tl4 B4 Te8'
_space_group_name_H-M_alt 'F -4 3 m'
_space_group_IT_number 216
_space_group_name_Hall 'F -4 2 3'
_cell_length_a 7.460
_cell_length_b 7.460
_cell_length_c 7.460
_cell_angle_alpha 90.00
_cell_angle_beta 90.00
_cell_angle_gamma 90.00
loop_
_atom_site_label
_atom_site_type_symbol
_atom_site_fract_x
_atom_site_fract_y
_atom_site_fract_z
Tl1 Tl 0.000 0.000 0.000
B1 B 0.250 0.250 0.750
Te1 Te 0.000 0.000 0.500
Te2 Te 0.250 0.250 0.250
```

final energy	-2.73	eV/atom


Record 5
Compound: ScPt
Source: the Materials Project
Functional: GGA-PBE
Structure: optimized geometry

Structure (CIF):
```
data_ScPt
_chemical_formula_sum 'Sc1 Pt1'
_space_group_name_H-M_alt 'P m -3 m'
_space_group_IT_number 221
_space_group_name_Hall '-P 4 2 3'
_cell_length_a 3.309
_cell_length_b 3.309
_cell_length_c 3.309
_cell_angle_alpha 90.00
_cell_angle_beta 90.00
_cell_angle_gamma 90.00
loop_
_atom_site_label
_atom_site_type_symbol
_atom_site_fract_x
_atom_site_fract_y
_atom_site_fract_z
Sc1 Sc 0.000 0.000 0.000
Pt1 Pt 0.500 0.500 0.500
```

final energy	-7.43	eV/atom


Record 6
Compound: HoF3
Source: the Materials Project
Functional: GGA-PBE
Structure: optimized geometry

Structure (CIF):
```
data_HoF3
_chemical_formula_sum 'Ho4 F12'
_space_group_name_H-M_alt 'P n m a'
_space_group_IT_number 62
_cell_length_a 6.366
_cell_length_b 6.897
_cell_length_c 4.428
_cell_angle_alpha 90.00
_cell_angle_beta 90.00
_cell_angle_gamma 90.00
loop_
_space_group_symop_operation_xyz
'x,y,z'
'-x,-y,-z'
'-x+1/2,-y,z+1/2'
'x+1/2,y,-z+1/2'
'x+1/2,-y+1/2,-z+1/2'
'-x+1/2,y+1/2,z+1/2'
'-x,y+1/2,-z'
'x,-y+1/2,z'
loop_
_atom_site_label
_atom_site_type_symbol
_atom_site_fract_x
_atom_site_fract_y
_atom_site_fract_z
Ho1 Ho 0.131 0.250 0.060
F1 F 0.024 0.750 0.409
F2 F 0.165 0.563 0.877
```

final energy	-6.70	eV/atom